# 1
Material: Rh3Cl4
Method: DFT, GGA-PBE
State: optimized geometry

Unit cell a=6.6010 b=6.6010 c=6.6010 alpha=90.00 beta=90.00 gamma=90.00
Fractional positions:
Rh 0.0000 0.2500 0.5000
Rh 0.0000 0.7500 0.5000
Rh 0.2500 0.5000 0.0000
Rh 0.5000 0.0000 0.2500
Rh 0.5000 0.0000 0.7500
Rh 0.7500 0.5000 0.0000
Cl 0.2500 0.2500 0.2500
Cl 0.2500 0.2500 0.7500
Cl 0.2500 0.7500 0.2500
Cl 0.2500 0.7500 0.7500
Cl 0.7500 0.2500 0.2500
Cl 0.7500 0.2500 0.7500
Cl 0.7500 0.7500 0.2500
Cl 0.7500 0.7500 0.7500

Symmetry: Pm-3n (223)

# 2
Material: CdH8C2NCl3
Method: DFT, GGA-PBE
State: optimized geometry

Unit cell a=8.8950 b=13.5036 c=6.8210 alpha=90.00 beta=98.95 gamma=90.00
Fractional positions:
Cd 0.2008 0.2430 0.0166
Cd 0.2008 0.2570 0.5166
Cd 0.7992 0.7430 0.4834
Cd 0.7992 0.7570 0.9834
H 0.1198 0.5402 0.4344
H 0.1198 0.9598 0.9344
H 0.1269 0.5790 0.0886
H 0.1269 0.9210 0.5886
H 0.1929 0.6617 0.4027
H 0.1929 0.8383 0.9027
H 0.2376 0.0175 0.6676
H 0.2376 0.4825 0.1676
H 0.3214 0.5614 0.4834
H 0.3214 0.9386 0.9834
H 0.3454 0.6883 0.1218
H 0.3454 0.8117 0.6218
H 0.3559 0.5878 0.9520
H 0.3559 0.9122 0.4520
H 0.4630 0.5835 0.1979
H 0.4630 0.9165 0.6979
H 0.5370 0.0835 0.3021
H 0.5370 0.4165 0.8021
H 0.6441 0.0878 0.5480
H 0.6441 0.4122 0.0480
H 0.6546 0.1883 0.3782
H 0.6546 0.3117 0.8782
H 0.6786 0.0614 0.0166
H 0.6786 0.4386 0.5166
H 0.7624 0.5175 0.8324
H 0.7624 0.9825 0.3324
H 0.8071 0.1617 0.0973
H 0.8071 0.3383 0.5973
H 0.8731 0.0790 0.4114
H 0.8731 0.4210 0.9114
H 0.8802 0.0402 0.0656
H 0.8802 0.4598 0.5656
C 0.2143 0.5823 0.3910
C 0.2143 0.9177 0.8910
C 0.3570 0.6080 0.1076
C 0.3570 0.8920 0.6076
C 0.6430 0.1080 0.3924
C 0.6430 0.3920 0.8924
C 0.7857 0.0823 0.1090
C 0.7857 0.4177 0.6090
N 0.2262 0.5586 0.1804
N 0.2262 0.9414 0.6804
N 0.7738 0.0586 0.3196
N 0.7738 0.4414 0.8196
Cl 0.0058 0.6687 0.7914
Cl 0.0058 0.8313 0.2914
Cl 0.1978 0.1009 0.2788
Cl 0.1978 0.3991 0.7788
Cl 0.3948 0.1620 0.8050
Cl 0.3948 0.3380 0.3050
Cl 0.6052 0.6620 0.6950
Cl 0.6052 0.8380 0.1950
Cl 0.8022 0.6009 0.2212
Cl 0.8022 0.8991 0.7212
Cl 0.9942 0.1687 0.7086
Cl 0.9942 0.3313 0.2086

Symmetry: P2_1/c (14)

# 3
Material: Ti10CrSb5
Method: DFT, GGA-PBE
State: optimized geometry

Unit cell a=7.8886 b=7.8886 c=7.8886 alpha=96.37 beta=96.37 gamma=141.09
Fractional positions:
Ti 0.0000 0.5000 0.5000
Ti 0.0485 0.1898 0.7092
Ti 0.1898 0.4806 0.1413
Ti 0.3393 0.0485 0.8587
Ti 0.4806 0.3393 0.2908
Ti 0.5000 0.0000 0.5000
Ti 0.5194 0.8102 0.8587
Ti 0.6607 0.5194 0.7092
Ti 0.8102 0.9515 0.2908
Ti 0.9515 0.6607 0.1413
Cr 0.5000 0.5000 0.0000
Sb 0.0000 0.0000 0.0000
Sb 0.0865 0.9135 0.5000
Sb 0.4135 0.5865 0.5000
Sb 0.5865 0.0865 0.1731
Sb 0.9135 0.4135 0.8269

Symmetry: I422 (97)

Values of total DFT energy (no corrections), in order: -4.369, -4.512, -7.270, all in eV/atom.